# 1
VASP calculation (r²SCAN) on a relaxed PrGaSi crystal.

a = 4.249 Å, b = 4.249 Å, c = 14.284 Å
α = 90.00°, β = 90.00°, γ = 90.00°
Space group I4_1md (No. 109)
Symmetry-distinct sites (fractional):
Pr: 0.000 0.000 0.000
Ga: 0.000 0.000 0.583
Si: 0.000 0.000 0.417

Output
total moment = 0.00 Bohr magnetons per cell
DFT formation energy = -789.0 meV per atom

=====

# 2
VASP calculation (r²SCAN) on a relaxed PrZn2Ga2 crystal.

a = 5.989 Å, b = 6.000 Å, c = 10.589 Å
α = 90.00°, β = 90.00°, γ = 90.00°
Space group Fmmm (No. 69)
Symmetry-distinct sites (fractional):
Pr: 0.000 0.000 0.000
Zn: 0.000 0.000 0.386
Ga: 0.250 0.250 0.250

Output
total moment = 0.00 Bohr magnetons per cell
DFT formation energy = -530.4 meV per atom

=====

# 3
VASP calculation (r²SCAN) on a relaxed ScGaPt crystal.

a = 6.346 Å, b = 4.343 Å, c = 7.525 Å
α = 90.00°, β = 90.00°, γ = 90.00°
Space group Pnma (No. 62)
Symmetry-distinct sites (fractional):
Sc: 0.009 0.250 0.210
Ga: 0.189 0.250 0.579
Pt: 0.233 0.750 0.409

Output
total moment = 0.00 Bohr magnetons per cell
DFT formation energy = -1160.5 meV per atom

=====

# 4
VASP calculation (r²SCAN) on a relaxed SmGa3Pt crystal.

a = 4.144 Å, b = 4.144 Å, c = 10.792 Å
α = 90.00°, β = 90.00°, γ = 90.00°
Space group I-4m2 (No. 119)
Symmetry-distinct sites (fractional):
Sm: 0.000 0.000 0.000
Ga: 0.000 0.000 0.387
Ga: 0.000 0.500 0.250
Pt: 0.000 0.500 0.750

Output
total moment = 0.00 Bohr magnetons per cell
DFT formation energy = -813.0 meV per atom

=====

# 5
VASP calculation (r²SCAN) on a relaxed SmGaPt crystal.

a = 7.087 Å, b = 4.463 Å, c = 7.667 Å
α = 90.00°, β = 90.00°, γ = 90.00°
Space group Pnma (No. 62)
Symmetry-distinct sites (fractional):
Sm: 0.017 0.250 0.198
Ga: 0.171 0.250 0.577
Pt: 0.217 0.750 0.404

Output
total moment = 0.00 Bohr magnetons per cell
DFT formation energy = -1174.5 meV per atom

=====

# 6
VASP calculation (r²SCAN) on a relaxed TmGaPt crystal.

a = 6.804 Å, b = 4.373 Å, c = 7.577 Å
α = 90.00°, β = 90.00°, γ = 90.00°
Space group Pnma (No. 62)
Symmetry-distinct sites (fractional):
Tm: 0.014 0.250 0.199
Ga: 0.173 0.250 0.575
Pt: 0.225 0.750 0.402

Output
total moment = 0.00 Bohr magnetons per cell
DFT formation energy = -1237.7 meV per atom

=====

# 7
VASP calculation (r²SCAN) on a relaxed Y4Ga12Pt crystal.

a = 8.574 Å, b = 8.574 Å, c = 8.574 Å
α = 90.00°, β = 90.00°, γ = 90.00°
Space group Im-3m (No. 229)
Symmetry-distinct sites (fractional):
Y: 0.250 0.250 0.250
Ga: 0.000 0.000 0.298
Ga: 0.000 0.250 0.500
Pt: 0.000 0.000 0.000

Output
total moment = 0.00 Bohr magnetons per cell
DFT formation energy = -674.9 meV per atom

=====

# 8
VASP calculation (r²SCAN) on a relaxed YGaPt crystal.

a = 6.959 Å, b = 4.415 Å, c = 7.597 Å
α = 90.00°, β = 90.00°, γ = 90.00°
Space group Pnma (No. 62)
Symmetry-distinct sites (fractional):
Y: 0.012 0.250 0.201
Ga: 0.176 0.250 0.578
Pt: 0.218 0.750 0.406

Output
total moment = 0.00 Bohr magnetons per cell
DFT formation energy = -1216.9 meV per atom

=====

# 9
VASP calculation (r²SCAN) on a relaxed YbGaPt crystal.

a = 6.775 Å, b = 4.370 Å, c = 7.561 Å
α = 90.00°, β = 90.00°, γ = 90.00°
Space group Pnma (No. 62)
Symmetry-distinct sites (fractional):
Yb: 0.011 0.250 0.200
Ga: 0.176 0.250 0.577
Pt: 0.224 0.750 0.405

Output
total moment = 0.00 Bohr magnetons per cell
DFT formation energy = -1243.2 meV per atom

=====

# 10
VASP calculation (r²SCAN) on a relaxed PuGa3 crystal.

a = 6.2910 Å, b = 6.2910 Å, c = 4.5316 Å
α = 90.00°, β = 90.00°, γ = 120.00°
Space group P6_3/mmc (No. 194)
Symmetry-distinct sites (fractional):
Pu: 0.3333 0.6667 0.2500
Ga: 0.1466 0.2932 0.7500

Output
total moment = 10.16 Bohr magnetons per cell
DFT formation energy = -498.8 meV per atom

=====

# 11
VASP calculation (r²SCAN) on a relaxed PuGa crystal.

a = 6.404 Å, b = 6.404 Å, c = 8.551 Å
α = 90.00°, β = 90.00°, γ = 90.00°
Space group I4/mmm (No. 139)
Symmetry-distinct sites (fractional):
Pu: 0.000 0.000 0.201
Pu: 0.000 0.500 0.250
Ga: 0.207 0.207 0.500

Output
total moment = 43.79 Bohr magnetons per cell
DFT formation energy = -561.9 meV per atom

=====

# 12
VASP calculation (r²SCAN) on a relaxed PuGa3 crystal.

a = 6.1840 Å, b = 6.1840 Å, c = 28.0885 Å
α = 90.00°, β = 90.00°, γ = 120.00°
Space group R-3m (No. 166, hexagonal axes)
Symmetry-distinct sites (fractional):
Pu: 0.0000 0.0000 0.1292
Pu: 0.0000 0.0000 0.2880
Ga: 0.0040 0.5020 0.7085
Ga: 0.0429 0.5214 0.1247

Output
total moment = 63.39 Bohr magnetons per cell
DFT formation energy = -476.9 meV per atom

=====

# 13
VASP calculation (r²SCAN) on a relaxed PuGa4 crystal.

a = 15.030 Å, b = 4.370 Å, c = 6.302 Å
α = 90.00°, β = 114.74°, γ = 90.00°
Space group Cm (No. 8)
Symmetry-distinct sites (fractional):
Pu: 0.000 0.000 0.000
Pu: 0.226 0.000 0.726
Ga: 0.004 0.000 0.504
Ga: 0.113 0.500 0.363
Ga: 0.113 0.500 0.864
Ga: 0.222 0.000 0.222
Ga: 0.312 0.500 0.099
Ga: 0.312 0.500 0.525
Ga: 0.414 0.000 0.201
Ga: 0.414 0.000 0.628

Output
total moment = 21.47 Bohr magnetons per cell
DFT formation energy = -396.2 meV per atom

=====

# 14
VASP calculation (r²SCAN) on a relaxed RbGa7 crystal.

a = 6.6264 Å, b = 6.6264 Å, c = 28.4177 Å
α = 90.00°, β = 90.00°, γ = 120.00°
Space group R-3m (No. 166, hexagonal axes)
Symmetry-distinct sites (fractional):
Rb: 0.0000 0.0000 0.1954
Ga: 0.0000 0.0000 0.4555
Ga: 0.0550 0.5275 0.7435
Ga: 0.0677 0.5338 0.3520

Output
total moment = 0.00 Bohr magnetons per cell
DFT formation energy = -148.6 meV per atom

=====

# 15
VASP calculation (r²SCAN) on a relaxed Rb2GaSb2 crystal.

a = 15.501 Å, b = 10.868 Å, c = 9.388 Å
α = 90.00°, β = 90.00°, γ = 90.00°
Space group Pnma (No. 62)
Symmetry-distinct sites (fractional):
Rb: 0.018 0.032 0.225
Rb: 0.230 0.535 0.604
Ga: 0.094 0.250 0.600
Ga: 0.180 0.750 0.276
Sb: 0.066 0.750 0.483
Sb: 0.137 0.750 0.009
Sb: 0.156 0.250 0.855
Sb: 0.196 0.250 0.383

Output
total moment = 0.00 Bohr magnetons per cell
DFT formation energy = -540.1 meV per atom

=====

# 16
VASP calculation (r²SCAN) on a relaxed Ga3Re crystal.

a = 6.476 Å, b = 6.476 Å, c = 7.028 Å
α = 90.00°, β = 90.00°, γ = 90.00°
Space group P4_2/mnm (No. 136)
Symmetry-distinct sites (fractional):
Ga: 0.000 0.500 0.000
Ga: 0.167 0.167 0.243
Re: 0.144 0.856 0.000

Output
total moment = 0.00 Bohr magnetons per cell
DFT formation energy = -110.7 meV per atom

=====

# 17
VASP calculation (r²SCAN) on a relaxed GaRh crystal.

a = 3.006 Å, b = 3.006 Å, c = 3.006 Å
α = 90.00°, β = 90.00°, γ = 90.00°
Space group Pm-3m (No. 221)
Symmetry-distinct sites (fractional):
Ga: 0.000 0.000 0.000
Rh: 0.500 0.500 0.500

Output
total moment = 0.00 Bohr magnetons per cell
DFT formation energy = -725.3 meV per atom

=====

# 18
VASP calculation (r²SCAN) on a relaxed Ga3Rh crystal.

a = 6.484 Å, b = 6.484 Å, c = 6.594 Å
α = 90.00°, β = 90.00°, γ = 90.00°
Space group P4_2/mnm (No. 136)
Symmetry-distinct sites (fractional):
Ga: 0.000 0.500 0.000
Ga: 0.143 0.143 0.249
Rh: 0.160 0.840 0.500

Output
total moment = 0.00 Bohr magnetons per cell
DFT formation energy = -432.1 meV per atom

=====

# 19
VASP calculation (r²SCAN) on a relaxed Ga5Rh3 crystal.

a = 4.973 Å, b = 6.652 Å, c = 7.903 Å
α = 100.92°, β = 104.64°, γ = 101.29°
Space group P-1 (No. 2)
Symmetry-distinct sites (fractional):
Ga: 0.041 0.405 0.348
Ga: 0.083 0.322 0.949
Ga: 0.227 0.962 0.464
Ga: 0.318 0.027 0.127
Ga: 0.451 0.360 0.728
Rh: 0.153 0.987 0.776
Rh: 0.364 0.673 0.950
Rh: 0.453 0.695 0.578

Output
total moment = 0.00 Bohr magnetons per cell
DFT formation energy = -634.1 meV per atom